Tl2Pt3: relaxed, r²SCAN.

```
Tl2Pt3
1.0
-1.265 -3.274 -4.481
0.693 -2.351 5.137
-13.682 1.697 2.623
Pt Tl
12 8
direct
0.166 0.834 0.414
0.834 0.668 0.914
0.166 0.834 0.086
0.668 0.834 0.086
0.668 0.834 0.414
0.166 0.332 0.414
0.834 0.166 0.586
0.332 0.166 0.586
0.166 0.332 0.086
0.834 0.166 0.914
0.332 0.166 0.914
0.834 0.668 0.586
0.667 0.333 0.407
0.667 0.333 0.750
0.000 0.000 0.750
0.000 0.000 0.250
0.333 0.667 0.250
0.333 0.667 0.907
0.667 0.333 0.093
0.333 0.667 0.593
```

Calculated formation energy   -0.160 eV/atom
E_tot   -52.324 eV per atom
Crystal system   hexagonal